Record 1
Material: U2Al3Sn3
Method: DFT, PBE-GGA
State: optimized geometry

The value obtained for the formation energy is -0.124 eV per atom. As for the space group: No. 47. The density comes out at 8.6 g cm⁻³.

Lattice parameters (Å, degrees): 4.428 4.472 8.928 90.00 90.00 90.00
Sites, in units of the cell vectors:
U: 0.000 0.000 0.753
U: 0.000 0.000 0.247
Al: 0.500 0.500 0.764
Al: 0.500 0.500 0.236
Al: 0.500 0.000 0.000
Sn: 0.500 0.000 0.500
Sn: 0.000 0.500 0.000
Sn: 0.000 0.500 0.500

=====

Record 2
Material: InRhO3
Method: DFT, PBE-GGA
State: optimized geometry

The value obtained for the formation energy is -1.213 eV per atom. As for the space group: No. 62. The density comes out at 7.2 g cm⁻³.

Lattice parameters (Å, degrees): 5.341 5.530 8.245 90.00 90.00 90.00
Sites, in units of the cell vectors:
In: 0.000 0.000 0.000
In: 0.500 0.500 0.000
In: 0.000 0.000 0.500
In: 0.500 0.500 0.500
Rh: 0.006 0.449 0.250
Rh: 0.994 0.551 0.750
Rh: 0.506 0.051 0.750
Rh: 0.494 0.949 0.250
O: 0.327 0.181 0.097
O: 0.673 0.819 0.903
O: 0.827 0.319 0.903
O: 0.673 0.819 0.597
O: 0.173 0.681 0.097
O: 0.327 0.181 0.403
O: 0.173 0.681 0.403
O: 0.827 0.319 0.597
O: 0.666 0.618 0.250
O: 0.334 0.382 0.750
O: 0.166 0.882 0.750
O: 0.834 0.118 0.250

=====

Record 3
Material: Li2Be2H4NF7
Method: DFT, PBE-GGA
State: optimized geometry

The value obtained for the formation energy is -2.514 eV per atom. As for the space group: No. 62. The density comes out at 1.9 g cm⁻³.

Lattice parameters (Å, degrees): 10.273 12.499 5.071 90.00 90.00 90.00
Sites, in units of the cell vectors:
Li: 0.654 0.998 0.702
Li: 0.154 0.502 0.798
Li: 0.346 0.498 0.298
Li: 0.846 0.002 0.202
Li: 0.346 0.002 0.298
Li: 0.846 0.498 0.202
Li: 0.654 0.502 0.702
Li: 0.154 0.998 0.798
Be: 0.400 0.132 0.784
Be: 0.900 0.368 0.716
Be: 0.600 0.632 0.216
Be: 0.100 0.868 0.284
Be: 0.600 0.868 0.216
Be: 0.100 0.632 0.284
Be: 0.400 0.368 0.784
Be: 0.900 0.132 0.716
H: 0.599 0.250 0.439
H: 0.099 0.250 0.061
H: 0.401 0.750 0.561
H: 0.901 0.750 0.939
H: 0.588 0.183 0.152
H: 0.088 0.317 0.348
H: 0.412 0.683 0.848
H: 0.912 0.817 0.652
H: 0.412 0.817 0.848
H: 0.912 0.683 0.652
H: 0.588 0.317 0.152
H: 0.088 0.183 0.348
H: 0.727 0.250 0.230
H: 0.227 0.250 0.270
H: 0.273 0.750 0.770
H: 0.773 0.750 0.730
N: 0.627 0.250 0.243
N: 0.127 0.250 0.257
N: 0.373 0.750 0.757
N: 0.873 0.750 0.743
F: 0.543 0.116 0.695
F: 0.043 0.384 0.805
F: 0.457 0.616 0.305
F: 0.957 0.884 0.195
F: 0.457 0.884 0.305
F: 0.957 0.616 0.195
F: 0.543 0.384 0.695
F: 0.043 0.116 0.805
F: 0.307 0.052 0.639
F: 0.807 0.448 0.861
F: 0.693 0.552 0.361
F: 0.193 0.948 0.139
F: 0.693 0.948 0.361
F: 0.193 0.552 0.139
F: 0.307 0.448 0.639
F: 0.807 0.052 0.861
F: 0.390 0.120 0.088
F: 0.890 0.380 0.412
F: 0.610 0.620 0.912
F: 0.110 0.880 0.588
F: 0.610 0.880 0.912
F: 0.110 0.620 0.588
F: 0.390 0.380 0.088
F: 0.890 0.120 0.412
F: 0.355 0.250 0.704
F: 0.855 0.250 0.796
F: 0.645 0.750 0.296
F: 0.145 0.750 0.204

=====

Record 4
Material: Rb2NaFeC6N6
Method: DFT, PBE-GGA
State: optimized geometry

The value obtained for the formation energy is -0.246 eV per atom. As for the space group: No. 14. The density comes out at 2.2 g cm⁻³.

Lattice parameters (Å, degrees): 7.785 7.322 12.878 55.78 90.00 90.00
Sites, in units of the cell vectors:
Rb: 0.929 0.728 0.750
Rb: 0.429 0.272 0.750
Rb: 0.071 0.272 0.250
Rb: 0.571 0.728 0.250
Na: 0.000 0.500 0.500
Na: 0.500 0.500 0.000
Fe: 0.000 0.000 0.000
Fe: 0.500 0.000 0.500
C: 0.019 0.101 0.828
C: 0.519 0.899 0.672
C: 0.981 0.899 0.172
C: 0.481 0.101 0.328
C: 0.133 0.246 0.968
C: 0.633 0.754 0.532
C: 0.867 0.754 0.032
C: 0.367 0.246 0.468
C: 0.205 0.830 0.039
C: 0.705 0.170 0.461
C: 0.795 0.170 0.961
C: 0.295 0.830 0.539
N: 0.034 0.165 0.721
N: 0.534 0.835 0.779
N: 0.966 0.835 0.279
N: 0.466 0.165 0.221
N: 0.216 0.398 0.947
N: 0.716 0.602 0.553
N: 0.784 0.602 0.053
N: 0.284 0.398 0.447
N: 0.331 0.723 0.064
N: 0.831 0.277 0.436
N: 0.669 0.277 0.936
N: 0.169 0.723 0.564

=====

Record 5
Material: Mg6MnCo
Method: DFT, PBE-GGA
State: optimized geometry

The value obtained for the formation energy is 0.179 eV per atom. As for the excess energy over the best structure of this formula in the dataset: 0 meV/atom. The density comes out at 2.8 g cm⁻³.

Lattice parameters (Å, degrees): 4.768 6.021 10.583 90.00 90.00 90.00
Sites, in units of the cell vectors:
Mg: 0.000 0.264 0.088
Mg: 0.000 0.736 0.088
Mg: 0.000 0.000 0.334
Mg: 0.500 0.740 0.411
Mg: 0.500 0.260 0.411
Mg: 0.500 0.000 0.166
Mg: 0.000 0.764 0.588
Mg: 0.000 0.236 0.588
Mg: 0.000 0.500 0.834
Mg: 0.500 0.240 0.911
Mg: 0.500 0.760 0.911
Mg: 0.500 0.500 0.666
Mn: 0.000 0.500 0.318
Mn: 0.000 0.000 0.818
Co: 0.500 0.500 0.184
Co: 0.500 0.000 0.684

=====

Record 6
Material: HfMg14Cr
Method: DFT, PBE-GGA
State: optimized geometry

The value obtained for the formation energy is 0.122 eV per atom. As for the excess energy over the best structure of this formula in the dataset: 16 meV/atom. As for the space group: No. 187. The density comes out at 2.7 g cm⁻³.

Lattice parameters (Å, degrees): 6.347 6.347 10.150 90.00 90.00 120.00
Sites, in units of the cell vectors:
Hf: 0.167 0.333 0.625
Mg: 0.167 0.833 0.125
Mg: 0.172 0.836 0.625
Mg: 0.667 0.333 0.125
Mg: 0.664 0.328 0.625
Mg: 0.667 0.833 0.125
Mg: 0.664 0.836 0.625
Mg: 0.329 0.171 0.374
Mg: 0.329 0.171 0.876
Mg: 0.329 0.659 0.374
Mg: 0.329 0.659 0.876
Mg: 0.841 0.171 0.374
Mg: 0.841 0.171 0.876
Mg: 0.833 0.667 0.377
Mg: 0.833 0.667 0.873
Cr: 0.167 0.333 0.125

=====

Record 7
Material: PtI6N2
Method: DFT, PBE-GGA
State: optimized geometry

The value obtained for the formation energy is 1.112 eV per atom. As for the space group: No. 225. The density comes out at 4.8 g cm⁻³.

Lattice parameters (Å, degrees): 7.856 7.856 7.856 60.00 60.00 60.00
Sites, in units of the cell vectors:
Pt: 0.000 0.000 0.000
I: 0.760 0.760 0.240
I: 0.760 0.240 0.240
I: 0.760 0.240 0.760
I: 0.240 0.760 0.760
I: 0.240 0.760 0.240
I: 0.240 0.240 0.760
N: 0.250 0.250 0.250
N: 0.750 0.750 0.750

=====

Record 8
Material: Dy10Si17
Method: DFT, PBE-GGA
State: optimized geometry

The value obtained for the formation energy is -0.626 eV per atom. As for the space group: No. 44. The density comes out at 6.5 g cm⁻³.

Lattice parameters (Å, degrees): 10.987 10.987 10.987 144.46 135.78 57.97
Sites, in units of the cell vectors:
Dy: 0.755 0.761 0.516
Dy: 0.452 0.963 0.015
Dy: 0.848 0.368 0.015
Dy: 0.948 0.963 0.511
Dy: 0.152 0.167 0.520
Dy: 0.353 0.368 0.520
Dy: 0.245 0.761 0.005
Dy: 0.548 0.563 0.511
Dy: 0.052 0.563 0.015
Dy: 0.647 0.167 0.015
Si: 0.714 0.669 0.955
Si: 0.199 0.578 0.379
Si: 0.000 0.081 0.081
Si: 0.700 0.295 0.596
Si: 0.801 0.180 0.379
Si: 0.896 0.505 0.609
Si: 0.417 0.872 0.455
Si: 0.104 0.713 0.609
Si: 0.300 0.896 0.596
Si: 0.583 0.038 0.455
Si: 0.000 0.431 0.431
Si: 0.880 0.844 0.964
Si: 0.400 0.501 0.101
Si: 0.120 0.085 0.964
Si: 0.286 0.240 0.955
Si: 0.500 0.389 0.889
Si: 0.600 0.701 0.101

=====

Record 9
Material: CaBiF6
Method: DFT, PBE-GGA
State: optimized geometry

The value obtained for the formation energy is -3.070 eV per atom. As for the space group: No. 148. The density comes out at 4.2 g cm⁻³.

Lattice parameters (Å, degrees): 6.141 6.141 6.141 54.37 54.37 54.37
Sites, in units of the cell vectors:
Ca: 0.500 0.500 0.500
Bi: 0.000 0.000 0.000
F: 0.618 0.897 0.242
F: 0.897 0.242 0.618
F: 0.758 0.382 0.103
F: 0.103 0.758 0.382
F: 0.382 0.103 0.758
F: 0.242 0.618 0.897

=====

Record 10
Material: MnSb4
Method: DFT, PBE-GGA
State: optimized geometry

The value obtained for the formation energy is 0.142 eV per atom. As for the space group: No. 123. The density comes out at 6.3 g cm⁻³.

Lattice parameters (Å, degrees): 3.080 3.080 14.994 90.00 90.00 90.00
Sites, in units of the cell vectors:
Mn: 0.000 0.000 0.000
Sb: 0.000 0.000 0.180
Sb: 0.000 0.000 0.399
Sb: 0.000 0.000 0.601
Sb: 0.000 0.000 0.820

=====

Record 11
Material: BaNaTbBiO6
Method: DFT, PBE-GGA
State: optimized geometry

The value obtained for the formation energy is -2.346 eV per atom. As for the excess energy over the best structure of this formula in the dataset: 10 meV/atom. As for the space group: No. 216. The density comes out at 6.3 g cm⁻³.

Lattice parameters (Å, degrees): 6.159 6.159 6.159 60.00 60.00 60.00
Sites, in units of the cell vectors:
Ba: 0.750 0.750 0.750
Na: 0.250 0.250 0.250
Tb: 0.500 0.500 0.500
Bi: 0.000 0.000 0.000
O: 0.757 0.243 0.243
O: 0.243 0.757 0.757
O: 0.757 0.243 0.757
O: 0.243 0.757 0.243
O: 0.757 0.757 0.243
O: 0.243 0.243 0.757

=====

Record 12
Material: Tb4Si3Ge
Method: DFT, PBE-GGA
State: optimized geometry

The value obtained for the formation energy is -0.831 eV per atom. As for the space group: No. 25. The density comes out at 7.4 g cm⁻³.

Lattice parameters (Å, degrees): 3.887 4.315 10.626 90.00 90.00 90.00
Sites, in units of the cell vectors:
Tb: 0.000 0.000 0.138
Tb: 0.000 0.500 0.641
Tb: 0.500 0.500 0.359
Tb: 0.500 0.000 0.861
Si: 0.000 0.500 0.925
Si: 0.500 0.500 0.076
Si: 0.500 0.000 0.580
Ge: 0.000 0.000 0.420